# 1
This record from Materials Project describes a relaxed LiMn2F5 crystal. The functional is GGA+U.

```
LiMn2F5
1.0
8.694 0.000 0.000
0.000 8.873 0.000
0.000 0.000 6.514
Li Mn F
4 8 20
direct
0.244 0.239 0.000
0.256 0.739 0.500
0.744 0.261 0.500
0.756 0.761 0.000
0.000 0.000 0.252
0.000 0.000 0.748
0.141 0.628 0.000
0.359 0.128 0.500
0.500 0.500 0.248
0.500 0.500 0.752
0.641 0.872 0.500
0.859 0.372 0.000
0.076 0.861 0.500
0.086 0.864 0.000
0.099 0.393 0.000
0.215 0.124 0.246
0.215 0.124 0.754
0.285 0.624 0.254
0.285 0.624 0.746
0.401 0.893 0.500
0.414 0.364 0.500
0.424 0.361 0.000
0.576 0.639 0.000
0.586 0.636 0.500
0.599 0.107 0.500
0.715 0.376 0.254
0.715 0.376 0.746
0.785 0.876 0.246
0.785 0.876 0.754
0.901 0.607 0.000
0.914 0.136 0.000
0.924 0.139 0.500
```

* energy relative to the lowest polymorph listed for this composition: 0.0076 eV per atom
* total DFT energy (no corrections): -5.9969 eV per atom


# 2
This record from Materials Project describes a relaxed LiMnF3 crystal. The functional is GGA+U.

```
LiMnF3
1.0
7.731 0.000 0.000
3.348 7.896 0.000
3.330 -0.327 7.970
Li Mn F
8 8 24
direct
0.022 0.061 0.143
0.182 0.540 0.945
0.211 0.010 0.492
0.363 0.107 0.120
0.637 0.893 0.880
0.789 0.990 0.508
0.818 0.460 0.055
0.978 0.939 0.857
0.063 0.634 0.569
0.232 0.193 0.777
0.384 0.732 0.182
0.498 0.304 0.357
0.502 0.696 0.643
0.616 0.268 0.818
0.768 0.807 0.223
0.937 0.366 0.431
0.037 0.778 0.026
0.084 0.821 0.355
0.103 0.147 0.288
0.129 0.469 0.764
0.188 0.459 0.367
0.249 0.932 0.718
0.304 0.298 0.979
0.311 0.183 0.512
0.338 0.933 0.010
0.352 0.655 0.506
0.450 0.905 0.289
0.454 0.536 0.843
0.546 0.464 0.157
0.550 0.095 0.711
0.648 0.345 0.494
0.662 0.067 0.990
0.689 0.817 0.488
0.696 0.702 0.021
0.751 0.068 0.282
0.812 0.541 0.633
0.871 0.531 0.236
0.897 0.853 0.712
0.916 0.179 0.645
0.963 0.222 0.974
```

* energy relative to the lowest polymorph listed for this composition: 0.0779 eV per atom
* total DFT energy (no corrections): -5.6985 eV per atom


# 3
This record from Materials Project describes a relaxed LiMn2F7 crystal. The functional is GGA+U.

```
LiMn2F7
1.0
8.104 0.000 0.000
0.000 8.100 0.000
-6.695 0.000 8.181
Li Mn F
4 8 28
direct
0.220 0.092 0.348
0.220 0.408 0.848
0.780 0.592 0.152
0.780 0.908 0.652
0.258 0.718 0.293
0.258 0.782 0.793
0.280 0.118 0.081
0.280 0.382 0.581
0.720 0.618 0.419
0.720 0.882 0.919
0.742 0.218 0.207
0.742 0.282 0.707
0.039 0.192 0.387
0.039 0.308 0.887
0.197 0.562 0.644
0.197 0.634 0.889
0.197 0.866 0.389
0.197 0.938 0.144
0.250 0.515 0.423
0.250 0.985 0.923
0.280 0.235 0.229
0.280 0.265 0.729
0.374 0.577 0.229
0.374 0.923 0.729
0.442 0.213 0.554
0.442 0.287 0.054
0.558 0.713 0.946
0.558 0.787 0.446
0.626 0.077 0.271
0.626 0.423 0.771
0.720 0.735 0.271
0.720 0.765 0.771
0.750 0.015 0.077
0.750 0.485 0.577
0.803 0.062 0.856
0.803 0.134 0.611
0.803 0.366 0.111
0.803 0.438 0.356
0.961 0.692 0.113
0.961 0.808 0.613
```

* energy relative to the lowest polymorph listed for this composition: 0.0554 eV per atom
* total DFT energy (no corrections): -5.5008 eV per atom


# 4
This record from Materials Project describes a relaxed Li4MnF8 crystal. The functional is GGA+U.

```
Li4MnF8
1.0
5.130 0.000 0.000
0.000 6.062 0.000
-1.938 0.000 4.829
Li Mn F
4 1 8
direct
0.000 0.000 0.000
0.000 0.200 0.500
0.000 0.757 0.500
0.500 0.800 0.000
0.000 0.487 0.000
0.205 0.972 0.760
0.207 0.500 0.776
0.210 0.269 0.228
0.231 0.708 0.218
0.769 0.708 0.782
0.790 0.269 0.772
0.793 0.500 0.224
0.795 0.972 0.240
```

* energy relative to the lowest polymorph listed for this composition: 0.0000 eV per atom
* piezoelectric modulus e_max: 0.4 C/m²
* total DFT energy (no corrections): -4.9707 eV per atom


# 5
This record from Materials Project describes a relaxed Li2MnF6 crystal. The functional is GGA+U.

```
Li2MnF6
1.0
8.692 0.000 0.000
-4.346 7.527 0.000
0.000 0.000 4.483
Li Mn F
6 3 18
direct
0.000 0.343 0.000
0.000 0.657 0.000
0.343 0.000 0.000
0.343 0.343 0.000
0.657 0.000 0.000
0.657 0.657 0.000
0.000 0.000 0.000
0.333 0.667 0.491
0.667 0.333 0.509
0.105 0.209 0.216
0.105 0.895 0.216
0.130 0.565 0.251
0.209 0.105 0.784
0.233 0.465 0.726
0.233 0.767 0.726
0.435 0.565 0.251
0.435 0.870 0.251
0.465 0.233 0.274
0.535 0.767 0.726
0.565 0.130 0.749
0.565 0.435 0.749
0.767 0.233 0.274
0.767 0.535 0.274
0.791 0.895 0.216
0.870 0.435 0.749
0.895 0.105 0.784
0.895 0.791 0.784
```

* energy relative to the lowest polymorph listed for this composition: 0.0313 eV per atom
* total DFT energy (no corrections): -5.0596 eV per atom


# 6
This record from Materials Project describes a relaxed LiMnF3 crystal. The functional is GGA+U.

```
LiMnF3
1.0
5.565 0.000 0.000
0.000 12.016 0.000
-1.752 0.000 7.524
Li Mn F
8 8 24
direct
0.039 0.158 0.485
0.039 0.342 0.985
0.382 0.017 0.282
0.382 0.483 0.782
0.618 0.517 0.218
0.618 0.983 0.718
0.961 0.658 0.015
0.961 0.842 0.515
0.182 0.062 0.879
0.182 0.438 0.379
0.412 0.739 0.887
0.412 0.761 0.387
0.588 0.239 0.613
0.588 0.261 0.113
0.818 0.562 0.621
0.818 0.938 0.121
0.085 0.071 0.136
0.085 0.429 0.636
0.135 0.603 0.840
0.135 0.897 0.340
0.251 0.236 0.919
0.251 0.264 0.419
0.268 0.731 0.118
0.268 0.769 0.618
0.356 0.088 0.635
0.356 0.412 0.135
0.434 0.580 0.387
0.434 0.920 0.887
0.566 0.080 0.113
0.566 0.420 0.613
0.644 0.588 0.865
0.644 0.912 0.365
0.732 0.231 0.382
0.732 0.269 0.882
0.749 0.736 0.581
0.749 0.764 0.081
0.865 0.103 0.660
0.865 0.397 0.160
0.915 0.571 0.364
0.915 0.929 0.864
```

* energy relative to the lowest polymorph listed for this composition: 0.0720 eV per atom
* total DFT energy (no corrections): -5.7044 eV per atom


# 7
This record from Materials Project describes a relaxed LiMnF3 crystal. The functional is GGA+U.

```
LiMnF3
1.0
2.731 -5.397 0.000
2.731 5.397 0.000
0.000 0.000 5.478
Li Mn F
2 2 6
direct
0.063 0.937 0.500
0.937 0.063 0.000
0.412 0.588 0.501
0.588 0.412 0.001
0.232 0.768 0.488
0.251 0.252 0.250
0.252 0.251 0.750
0.748 0.749 0.250
0.749 0.748 0.750
0.768 0.232 0.988
```

* energy relative to the lowest polymorph listed for this composition: 0.0658 eV per atom
* total DFT energy (no corrections): -5.7106 eV per atom


# 8
This record from Materials Project describes a relaxed LiMn8F33 crystal. The functional is GGA+U.

```
LiMn8F33
1.0
8.619 0.000 0.000
-4.310 7.464 0.000
0.000 0.000 18.401
Li Mn F
2 16 66
direct
0.333 0.667 0.000
0.667 0.333 0.500
0.000 0.000 0.430
0.000 0.000 0.930
0.007 0.339 0.809
0.007 0.669 0.185
0.331 0.338 0.185
0.332 0.993 0.809
0.333 0.667 0.564
0.338 0.331 0.685
0.339 0.007 0.309
0.661 0.668 0.809
0.662 0.993 0.185
0.667 0.333 0.064
0.668 0.661 0.309
0.669 0.007 0.685
0.993 0.332 0.309
0.993 0.662 0.685
0.068 0.869 0.978
0.075 0.858 0.131
0.077 0.204 0.361
0.084 0.540 0.748
0.114 0.521 0.363
0.124 0.590 0.132
0.126 0.923 0.361
0.127 0.254 0.745
0.127 0.873 0.745
0.131 0.199 0.978
0.134 0.536 0.516
0.142 0.217 0.131
0.199 0.131 0.478
0.202 0.453 0.863
0.204 0.077 0.861
0.204 0.742 0.632
0.205 0.791 0.248
0.209 0.414 0.248
0.217 0.142 0.631
0.251 0.798 0.863
0.254 0.127 0.245
0.258 0.462 0.632
0.401 0.866 0.516
0.407 0.886 0.363
0.410 0.534 0.132
0.414 0.209 0.748
0.453 0.202 0.363
0.457 0.916 0.748
0.460 0.543 0.748
0.462 0.258 0.132
0.464 0.599 0.516
0.466 0.876 0.132
0.479 0.593 0.363
0.521 0.114 0.863
0.534 0.410 0.632
0.536 0.134 0.016
0.538 0.796 0.632
0.540 0.084 0.248
0.543 0.460 0.248
0.547 0.749 0.863
0.586 0.795 0.248
0.590 0.124 0.632
0.593 0.479 0.863
0.599 0.464 0.016
0.742 0.204 0.132
0.746 0.873 0.745
0.749 0.547 0.363
0.783 0.925 0.131
0.791 0.205 0.748
0.795 0.586 0.748
0.796 0.538 0.132
0.796 0.874 0.361
0.798 0.251 0.363
0.801 0.932 0.978
0.858 0.075 0.631
0.866 0.401 0.016
0.869 0.068 0.478
0.873 0.127 0.245
0.873 0.746 0.245
0.874 0.796 0.861
0.876 0.466 0.632
0.886 0.407 0.863
0.916 0.457 0.248
0.923 0.126 0.861
0.925 0.783 0.631
0.932 0.801 0.478
```

* total DFT energy (no corrections): -5.0327 eV per atom


| no. | volume (A^3/atom) |
| --- | --- |
| 1 | 15.7 |
| 2 | 12.2 |
| 3 | 13.4 |
| 4 | 11.6 |
| 5 | 10.9 |
| 6 | 12.6 |
| 7 | 16.1 |
| 8 | 14.1 |